# 1
Entry from the Materials Project database: a relaxed ErAsS crystal (GGA-PBE).

Values from the calculation:
**Raw total energy**: -5.981 eV per atom
**SG**: No. 59

abc: 3.807 3.821 8.477
angles: 90.00 90.00 90.00
Fractional coordinates of all 6 atoms:
Er1 0.250 0.250 0.209
Er2 0.750 0.750 0.791
As1 0.250 0.750 0.497
As2 0.750 0.250 0.503
S1 0.250 0.250 0.875
S2 0.750 0.750 0.125

***

# 2
Entry from the Materials Project database: a relaxed CaTiP4O12 crystal (GGA-PBE).

Values from the calculation:
**Raw total energy**: -7.394 eV per atom
**SG**: No. 15

abc: 7.622 7.622 10.427
angles: 113.60 113.60 70.33
Fractional coordinates of all 36 atoms:
Ca1 0.047 0.953 0.750
Ca2 0.953 0.047 0.250
Ti1 0.000 0.500 0.500
Ti2 0.500 0.000 0.000
P1 0.269 0.720 0.023
P2 0.280 0.731 0.477
P3 0.302 0.320 0.804
P4 0.320 0.302 0.304
P5 0.680 0.698 0.696
P6 0.698 0.680 0.196
P7 0.720 0.269 0.523
P8 0.731 0.280 0.977
O1 0.107 0.834 0.087
O2 0.140 0.290 0.327
O3 0.166 0.893 0.413
O4 0.196 0.351 0.658
O5 0.197 0.693 0.572
O6 0.227 0.504 0.931
O7 0.290 0.140 0.827
O8 0.307 0.803 0.928
O9 0.323 0.529 0.346
O10 0.351 0.196 0.158
O11 0.471 0.677 0.154
O12 0.496 0.773 0.569
O13 0.504 0.227 0.431
O14 0.529 0.323 0.846
O15 0.649 0.804 0.842
O16 0.677 0.471 0.654
O17 0.693 0.197 0.072
O18 0.710 0.860 0.173
O19 0.773 0.496 0.069
O20 0.803 0.307 0.428
O21 0.804 0.649 0.342
O22 0.834 0.107 0.587
O23 0.860 0.710 0.673
O24 0.893 0.166 0.913

***

# 3
Entry from the Materials Project database: a relaxed Re2C3N6 crystal (GGA-PBE).

Values from the calculation:
**Raw total energy**: -8.959 eV per atom
**SG**: No. 12
**Polymorph energy (0 for the lowest one)**: 0.43 eV/f.u.

abc: 8.468 8.468 5.575
angles: 96.00 96.00 19.77
Fractional coordinates of all 11 atoms:
Re1 0.182 0.182 0.405
Re2 0.818 0.818 0.595
C1 0.000 0.000 0.500
C2 0.323 0.323 0.090
C3 0.677 0.677 0.910
N1 0.068 0.068 0.440
N2 0.305 0.305 0.303
N3 0.335 0.335 0.876
N4 0.665 0.665 0.124
N5 0.695 0.695 0.697
N6 0.932 0.932 0.560

***

# 4
Entry from the Materials Project database: a relaxed Mo3WSe6S2 crystal (GGA-PBE).

Values from the calculation:
**Raw total energy**: -6.927 eV per atom
**SG**: No. 156
**Polymorph energy (0 for the lowest one)**: 0.00 eV/f.u.

abc: 3.286 3.286 37.346
angles: 90.00 90.00 120.00
Fractional coordinates of all 12 atoms:
Mo1 0.000 0.000 0.000
Mo2 0.000 0.000 0.376
Mo3 0.333 0.667 0.188
W1 0.333 0.667 0.564
Se1 0.000 0.000 0.143
Se2 0.000 0.000 0.233
Se3 0.333 0.667 0.045
Se4 0.333 0.667 0.331
Se5 0.333 0.667 0.421
Se6 0.333 0.667 0.955
S1 0.000 0.000 0.522
S2 0.000 0.000 0.605

***

# 5
Entry from the Materials Project database: a relaxed AlGaSb2 crystal (GGA-PBE).

Values from the calculation:
**Raw total energy**: -3.904 eV per atom
**SG**: No. 160

abc: 4.404 4.404 21.557
angles: 90.00 90.00 120.00
Fractional coordinates of all 12 atoms:
Al1 0.000 0.000 0.000
Al2 0.333 0.667 0.667
Al3 0.667 0.333 0.333
Ga1 0.000 0.000 0.500
Ga2 0.333 0.667 0.167
Ga3 0.667 0.333 0.833
Sb1 0.000 0.000 0.125
Sb2 0.000 0.000 0.625
Sb3 0.333 0.667 0.292
Sb4 0.333 0.667 0.792
Sb5 0.667 0.333 0.458
Sb6 0.667 0.333 0.958

***

# 6
Entry from the Materials Project database: a relaxed DyYCd2 crystal (GGA-PBE).

Values from the calculation:
**Raw total energy**: -3.562 eV per atom
**SG**: No. 225

abc: 7.507 7.507 7.507
angles: 90.00 90.00 90.00
Fractional coordinates of all 16 atoms:
Dy1 0.000 0.000 0.000
Dy2 0.000 0.500 0.500
Dy3 0.500 0.000 0.500
Dy4 0.500 0.500 0.000
Y1 0.000 0.000 0.500
Y2 0.000 0.500 0.000
Y3 0.500 0.000 0.000
Y4 0.500 0.500 0.500
Cd1 0.250 0.250 0.250
Cd2 0.250 0.250 0.750
Cd3 0.250 0.750 0.250
Cd4 0.250 0.750 0.750
Cd5 0.750 0.250 0.250
Cd6 0.750 0.250 0.750
Cd7 0.750 0.750 0.250
Cd8 0.750 0.750 0.750

***

# 7
Entry from the Materials Project database: a relaxed SmEuSe2 crystal (GGA-PBE).

Values from the calculation:
**Raw total energy**: -7.424 eV per atom
**SG**: No. 166

abc: 4.213 4.213 20.876
angles: 90.00 90.00 120.00
Fractional coordinates of all 12 atoms:
Sm1 0.000 0.000 0.000
Sm2 0.333 0.667 0.667
Sm3 0.667 0.333 0.333
Eu1 0.000 0.000 0.500
Eu2 0.333 0.667 0.167
Eu3 0.667 0.333 0.833
Se1 0.000 0.000 0.252
Se2 0.000 0.000 0.748
Se3 0.333 0.667 0.414
Se4 0.333 0.667 0.919
Se5 0.667 0.333 0.081
Se6 0.667 0.333 0.586

***

# 8
Entry from the Materials Project database: a relaxed CeTiO3 crystal (GGA-PBE).

Values from the calculation:
**Raw total energy**: -8.821 eV per atom
**SG**: No. 221

abc: 3.943 3.943 3.943
angles: 90.00 90.00 90.00
Fractional coordinates of all 5 atoms:
Ce1 0.000 0.000 0.000
Ti1 0.500 0.500 0.500
O1 0.000 0.500 0.500
O2 0.500 0.000 0.500
O3 0.500 0.500 0.000

***

Per-record V, Å³ per cell: 123.31 497.27 134.48 349.29 362.03 423.12 320.84 61.29
Per-record formation enthalpy at 0 K, kJ per mole of atoms: -163 -270 16 -75 -23 -32 -209 -338